No. 1
## FeCo3O8 (GGA+U)

Data for a relaxed structure of FeCo3O8.

Geometry as extended XYZ:
```
12
Lattice="2.842 1.641 4.691 -2.842 1.641 4.691 0.000 -3.282 4.691" Properties=species:S:1:pos:R:3 pbc="T T T"
Fe 0.000 0.000 0.000
Co -1.383 -0.798 6.411
Co 1.383 -0.798 6.411
Co 0.000 1.597 6.411
O 0.000 -1.489 7.348
O -1.289 0.744 7.348
O 0.000 0.000 5.422
O -1.326 -0.766 10.119
O 1.289 0.744 7.348
O 0.000 0.000 12.134
O 1.326 -0.766 10.119
O 0.000 1.531 10.119
```

Output
- calculated formation energy (kcal/mol of atoms) = -24.14
- symmetry = No. 160
- VASP energy (eV per atom) = -5.7729
- calculated volume (Å³ per cell) = 131.3

***

No. 2
## Fe19Co5O32 (GGA+U)

Data for a relaxed structure of Fe19Co5O32.

Geometry as extended XYZ:
```
56
Lattice="6.030 -6.021 0.000 6.030 6.021 0.000 -5.934 0.000 8.530" Properties=species:S:1:pos:R:3 pbc="T T T"
Fe 0.000 0.000 0.000
Fe -1.502 0.000 3.188
Fe 1.527 1.489 2.147
Fe -1.412 1.478 6.399
Fe 4.522 3.004 1.032
Fe 3.063 3.007 4.265
Fe 1.604 3.004 7.498
Fe 1.527 -1.489 2.147
Fe -1.412 -1.478 6.399
Fe 1.602 0.000 5.409
Fe 4.524 0.000 3.121
Fe 7.538 1.478 2.132
Fe 4.599 1.489 6.383
Fe 4.522 -3.004 1.032
Fe 3.063 -3.007 4.265
Fe 1.604 -3.004 7.498
Fe 7.538 -1.478 2.132
Fe 4.599 -1.489 6.383
Fe 7.628 0.000 5.342
Co 0.048 3.011 4.265
Co -2.915 0.000 8.522
Co 0.048 -3.011 4.265
Co 6.030 0.000 0.000
Co 9.042 0.000 0.008
O 1.604 4.405 4.114
O 1.528 1.387 0.021
O -0.035 3.021 6.455
O 2.973 3.000 2.187
O 0.157 0.000 1.994
O -2.808 0.000 6.581
O 1.594 1.607 4.121
O 1.528 -1.387 0.021
O -1.477 1.419 8.489
O 4.522 4.405 4.416
O 2.879 0.000 1.945
O -0.088 0.000 6.456
O 3.153 3.000 6.343
O 6.162 3.021 2.075
O -1.477 -1.419 8.489
O 4.532 1.607 4.409
O 1.594 -1.607 4.121
O 7.603 1.419 0.041
O -0.035 -3.021 6.455
O 2.973 -3.000 2.187
O 6.214 0.000 2.074
O 3.247 0.000 6.585
O 1.604 -4.405 4.114
O 7.603 -1.419 0.041
O 4.598 1.387 8.509
O 4.532 -1.607 4.409
O 8.934 0.000 1.949
O 5.969 0.000 6.536
O 3.153 -3.000 6.343
O 6.162 -3.021 2.075
O 4.598 -1.387 8.509
O 4.522 -4.405 4.416
```

Output
- calculated formation energy (kcal/mol of atoms) = -34.10
- symmetry = No. 12
- VASP energy (eV per atom) = -6.5104
- calculated volume (Å³ per cell) = 619.4

***

No. 3
## FeCo9O20 (GGA+U)

Data for a relaxed structure of FeCo9O20.

Geometry as extended XYZ:
```
30
Lattice="4.923 0.000 0.000 2.432 7.124 0.000 0.732 1.478 9.653" Properties=species:S:1:pos:R:3 pbc="T T T"
Fe 0.000 0.000 0.000
Co 1.588 2.876 4.827
Co 3.182 5.736 9.639
Co 4.031 7.150 4.828
Co 2.460 1.459 0.016
Co 4.043 4.301 4.826
Co 5.626 7.142 9.636
Co 4.055 1.451 4.825
Co 4.905 2.865 0.014
Co 6.498 5.726 4.826
O 0.775 1.449 5.758
O 1.563 2.956 8.708
O 1.632 2.863 0.941
O 2.401 4.303 3.897
O 3.217 5.724 5.756
O 4.047 7.067 8.662
O 4.088 7.110 0.941
O 2.411 1.452 3.896
O 3.232 2.873 5.755
O 3.996 4.332 8.719
O 4.091 4.269 0.934
O 4.855 5.728 3.897
O 5.675 7.150 5.756
O 3.999 1.492 8.712
O 4.040 1.534 0.990
O 4.869 2.878 3.897
O 5.686 4.298 5.756
O 6.455 5.738 8.712
O 6.523 5.645 0.945
O 7.312 7.152 3.895
```

Output
- calculated formation energy (kcal/mol of atoms) = -24.69
- symmetry = No. 2
- VASP energy (eV per atom) = -5.7594
- calculated volume (Å³ per cell) = 338.5

***

No. 4
## FeCo3O8 (GGA+U)

Data for a relaxed structure of FeCo3O8.

Geometry as extended XYZ:
```
24
Lattice="5.613 0.000 0.000 -2.807 4.861 0.000 0.000 0.000 8.906" Properties=species:S:1:pos:R:3 pbc="T T T"
Fe 0.000 3.241 0.000
Fe 2.807 1.620 4.453
Co 0.000 1.631 6.381
Co -1.394 4.046 6.381
Co 1.413 0.816 1.928
Co 1.394 4.046 6.381
Co 4.201 0.816 1.928
Co 2.807 3.230 1.928
O 0.000 0.000 2.880
O 0.000 0.000 7.333
O -1.239 2.526 7.428
O 0.000 1.557 0.978
O -1.458 4.083 0.978
O 1.348 0.778 5.432
O 0.000 3.241 5.386
O 1.239 2.526 7.428
O 0.000 4.671 7.428
O 2.807 0.190 2.975
O 1.568 2.336 2.975
O 2.807 1.620 0.933
O 1.458 4.083 0.978
O 4.265 0.778 5.432
O 2.807 3.305 5.432
O 4.045 2.336 2.975
```

Output
- calculated formation energy (kcal/mol of atoms) = -25.00
- symmetry = No. 186
- VASP energy (eV per atom) = -5.8102
- calculated volume (Å³ per cell) = 243.0

***

No. 5
## FeCo3O8 (GGA+U)

Data for a relaxed structure of FeCo3O8.

Geometry as extended XYZ:
```
12
Lattice="2.892 1.670 4.745 -2.892 1.670 4.745 0.000 -3.339 4.745" Properties=species:S:1:pos:R:3 pbc="T T T"
Fe 0.000 0.000 0.000
Co -1.446 -0.835 4.745
Co -1.446 0.835 9.490
Co 0.000 1.670 4.745
O 0.000 -1.604 5.678
O -1.389 0.802 5.678
O 0.000 0.000 3.791
O -1.389 -0.802 8.557
O 1.389 0.802 5.678
O 0.000 0.000 10.444
O 1.389 -0.802 8.557
O 0.000 1.604 8.557
```

Output
- calculated formation energy (kcal/mol of atoms) = -23.56
- symmetry = No. 166
- VASP energy (eV per atom) = -5.7479
- calculated volume (Å³ per cell) = 137.5

***

No. 6
## Fe2CoO4 (GGA+U)

Data for a relaxed structure of Fe2CoO4.

Geometry as extended XYZ:
```
84
Lattice="5.213 -3.028 0.000 5.213 3.028 0.000 -0.212 0.000 29.522" Properties=species:S:1:pos:R:3 pbc="T T T"
Fe 0.000 0.000 0.000
Fe -0.099 0.000 14.693
Fe 4.162 1.535 22.712
Fe 4.252 1.513 7.961
Fe 3.293 0.000 15.984
Fe 6.029 1.527 3.059
Fe 5.920 1.513 17.786
Fe 3.268 0.000 25.237
Fe 3.335 0.000 19.615
Fe 3.449 0.000 4.868
Fe 7.592 1.519 27.682
Fe 7.696 1.512 12.878
Fe 6.721 0.000 20.876
Fe 6.835 0.000 6.151
Fe 6.902 0.000 0.615
Fe 4.252 -1.513 7.961
Fe 6.752 0.000 24.557
Fe 6.878 0.000 9.771
Fe 4.162 -1.535 22.712
Fe 5.920 -1.513 17.786
Fe 6.029 -1.527 3.059
Fe 10.272 0.000 11.068
Fe 7.696 -1.512 12.878
Fe 7.592 -1.519 27.682
Co 1.645 0.000 7.970
Co 1.543 0.000 22.728
Co 3.360 0.000 10.425
Co 3.428 0.000 1.234
Co 5.089 0.000 12.887
Co 4.984 0.000 27.617
Co 6.806 0.000 15.336
Co 8.617 0.000 3.059
Co 8.534 0.000 17.811
Co 10.192 0.000 25.836
Co 10.352 0.000 5.505
Co 10.251 0.000 20.257
O -0.093 0.000 16.660
O 2.590 1.468 9.156
O 2.505 1.456 23.962
O 1.491 0.000 18.976
O 1.631 0.000 4.210
O 4.142 1.468 11.716
O 4.248 1.559 18.975
O 4.359 1.554 4.238
O 1.674 0.000 11.747
O 1.668 0.000 26.463
O 4.081 1.357 26.502
O 5.913 1.559 6.799
O 5.824 1.547 21.560
O 3.310 0.000 14.030
O 3.423 0.000 6.841
O 3.319 0.000 21.593
O 3.316 0.000 28.692
O 6.039 1.468 14.073
O 5.876 1.336 28.724
O 4.901 0.000 23.913
O 5.047 0.000 9.127
O 2.590 -1.468 9.156
O 2.505 -1.456 23.962
O 7.599 1.467 16.645
O 7.647 1.419 1.815
O 5.122 0.000 16.654
O 5.316 0.000 1.873
O 4.081 -1.357 26.502
O 4.142 -1.468 11.716
O 6.653 0.000 26.491
O 6.728 0.000 18.936
O 6.855 0.000 4.208
O 6.865 0.000 11.751
O 4.248 -1.559 18.975
O 4.359 -1.554 4.238
O 5.876 -1.336 28.724
O 8.276 0.000 28.788
O 8.497 0.000 14.047
O 5.913 -1.559 6.799
O 5.824 -1.547 21.560
O 6.039 -1.468 14.073
O 8.662 0.000 6.829
O 8.559 0.000 21.556
O 7.647 -1.419 1.815
O 7.599 -1.467 16.645
O 10.292 0.000 9.114
O 10.189 0.000 23.816
O 10.397 0.000 2.000
```

Output
- calculated formation energy (kcal/mol of atoms) = -34.73
- symmetry = No. 8
- VASP energy (eV per atom) = -6.4979
- calculated volume (Å³ per cell) = 931.9

***

No. 7
## Fe3Co5O16 (GGA+U)

Data for a relaxed structure of Fe3Co5O16.

Geometry as extended XYZ:
```
24
Lattice="5.241 0.000 0.000 0.000 2.868 0.000 -1.696 0.000 19.084" Properties=species:S:1:pos:R:3 pbc="T T T"
Fe 0.000 0.000 0.000
Fe -0.731 1.434 16.610
Fe 4.276 1.434 2.474
Co 0.108 0.000 14.210
Co 0.913 1.434 11.879
Co 1.772 0.000 9.542
Co 2.631 1.434 7.206
Co 3.436 0.000 4.874
O -1.361 0.000 15.475
O -0.522 1.434 13.127
O 0.658 1.434 1.082
O 0.330 0.000 10.782
O -0.115 0.000 17.705
O 1.189 1.434 8.443
O 0.759 1.434 15.237
O 2.034 0.000 6.115
O 1.511 0.000 12.969
O 2.786 1.434 3.847
O 2.355 1.434 10.641
O 3.659 0.000 1.379
O 3.214 0.000 8.302
O 2.886 1.434 18.002
O 4.066 1.434 5.957
O 4.905 0.000 3.609
```

Output
- calculated formation energy (kcal/mol of atoms) = -25.34
- symmetry = No. 10
- VASP energy (eV per atom) = -5.8559
- calculated volume (Å³ per cell) = 286.8

***

No. 8
## Fe2CoO4 (GGA+U)

Data for a relaxed structure of Fe2CoO4.

Geometry as extended XYZ:
```
14
Lattice="0.000 4.282 4.282 4.282 0.000 4.282 4.282 4.282 0.000" Properties=species:S:1:pos:R:3 pbc="T T T"
Fe 0.000 0.000 0.000
Fe 2.141 2.141 0.000
Fe 2.141 0.000 2.141
Fe 0.000 2.141 2.141
Co 3.211 3.211 3.211
Co 5.352 5.352 5.352
O 6.513 4.191 4.191
O 2.050 2.050 2.050
O 4.372 4.372 2.050
O 4.372 2.050 4.372
O 4.191 6.513 4.191
O 4.191 4.191 6.513
O 6.513 6.513 6.513
O 2.050 4.372 4.372
```

Output
- calculated formation energy (kcal/mol of atoms) = -36.35
- symmetry = No. 227
- VASP energy (eV per atom) = -6.5678
- calculated volume (Å³ per cell) = 157.0

***

Which value of calculated formation energy does entry 5 give?
-23.56 kcal/mol of atoms